1.
# ThB2Ru2 | the Materials Project | PBE | optimized geometry
data_ThB2Ru2
_cell_length_a 6.8096
_cell_length_b 6.0393
_cell_length_c 5.5895
_cell_angle_alpha 71.57
_cell_angle_beta 57.29
_cell_angle_gamma 51.14
_symmetry_space_group_name_H-M 'P 1'
_symmetry_Int_Tables_number 1
loop_
_symmetry_equiv_pos_as_xyz
'x,y,z'
loop_
_atom_site_label
_atom_site_fract_x
_atom_site_fract_y
_atom_site_fract_z
Th1 0.1250 0.1250 0.1250
Th2 0.8750 0.8750 0.8750
B1 0.1925 0.5575 0.1925
B2 0.4425 0.8075 0.4425
B3 0.5575 0.1925 0.5575
B4 0.8075 0.4425 0.8075
Ru1 0.2382 0.2382 0.5118
Ru2 0.4882 0.4882 0.7618
Ru3 0.5118 0.5118 0.2382
Ru4 0.7618 0.7618 0.4882
# * space-group type: No. 70
# * electronic total energy: -84.49 eV per cell
# * ΔH_f (0 K): -0.58 eV/atom
# * ρ: 10.06 g/cm3

***

2.
# Y2Ge2O7 | the Materials Project | PBE | optimized geometry
data_Y2Ge2O7
_cell_length_a 7.0984
_cell_length_b 7.0984
_cell_length_c 7.0984
_cell_angle_alpha 60.00
_cell_angle_beta 60.00
_cell_angle_gamma 60.00
_symmetry_space_group_name_H-M 'P 1'
_symmetry_Int_Tables_number 1
loop_
_symmetry_equiv_pos_as_xyz
'x,y,z'
loop_
_atom_site_label
_atom_site_fract_x
_atom_site_fract_y
_atom_site_fract_z
Y1 0.0000 0.0000 0.0000
Y2 0.0000 0.0000 0.5000
Y3 0.0000 0.5000 0.0000
Y4 0.5000 0.0000 0.0000
Ge1 0.0000 0.5000 0.5000
Ge2 0.5000 0.0000 0.5000
Ge3 0.5000 0.5000 0.0000
Ge4 0.5000 0.5000 0.5000
O1 0.1250 0.1250 0.1250
O2 0.1728 0.1728 0.5772
O3 0.1728 0.5772 0.1728
O4 0.1728 0.5772 0.5772
O5 0.4228 0.4228 0.8272
O6 0.4228 0.8272 0.4228
O7 0.4228 0.8272 0.8272
O8 0.5772 0.1728 0.1728
O9 0.5772 0.1728 0.5772
O10 0.5772 0.5772 0.1728
O11 0.8272 0.4228 0.4228
O12 0.8272 0.4228 0.8272
O13 0.8272 0.8272 0.4228
O14 0.8750 0.8750 0.8750
# * space-group type: No. 227
# * electronic total energy: -170.66 eV per cell
# * relative energy among the computed polymorphs: 1.26 kJ/mol of atoms
# * ΔH_f (0 K): -3.03 eV/atom
# * ρ: 5.71 g/cm3

***

3.
# CsRbMg6 | the Materials Project | PBE | optimized geometry
data_CsRbMg6
_cell_length_a 7.5399
_cell_length_b 5.0427
_cell_length_c 8.6897
_cell_angle_alpha 90.00
_cell_angle_beta 114.50
_cell_angle_gamma 90.00
_symmetry_space_group_name_H-M 'P 1'
_symmetry_Int_Tables_number 1
loop_
_symmetry_equiv_pos_as_xyz
'x,y,z'
loop_
_atom_site_label
_atom_site_fract_x
_atom_site_fract_y
_atom_site_fract_z
Cs1 0.0000 0.0000 0.0000
Rb1 0.5051 0.0000 0.0109
Mg1 0.0111 0.0000 0.5209
Mg2 0.3067 0.5000 0.6191
Mg3 0.4040 0.5000 0.3098
Mg4 0.5086 0.0000 0.5210
Mg5 0.8035 0.5000 0.6132
Mg6 0.9045 0.5000 0.3102
# * space-group type: No. 6
# * electronic total energy: -9.31 eV per cell
# * relative energy among the computed polymorphs: 0.00 kJ/mol of atoms
# * ΔH_f (0 K): 0.27 eV/atom
# * ρ: 2.01 g/cm3

***

4.
# SrCuSe4O12 | the Materials Project | PBE | optimized geometry
data_SrCuSe4O12
_cell_length_a 7.4768
_cell_length_b 5.6998
_cell_length_c 5.6998
_cell_angle_alpha 81.88
_cell_angle_beta 90.00
_cell_angle_gamma 90.00
_symmetry_space_group_name_H-M 'P 1'
_symmetry_Int_Tables_number 1
loop_
_symmetry_equiv_pos_as_xyz
'x,y,z'
loop_
_atom_site_label
_atom_site_fract_x
_atom_site_fract_y
_atom_site_fract_z
Sr1 0.0000 0.0000 0.0000
Cu1 0.5000 0.4563 0.4563
Se1 0.2580 0.4899 0.9769
Se2 0.2580 0.9769 0.4899
Se3 0.7420 0.4899 0.9769
Se4 0.7420 0.9769 0.4899
O1 0.0000 0.4681 0.8989
O2 0.0000 0.8989 0.4681
O3 0.1997 0.2457 0.2457
O4 0.2581 0.1085 0.7289
O5 0.2581 0.7289 0.1085
O6 0.3278 0.6231 0.6231
O7 0.5000 0.0571 0.4029
O8 0.5000 0.4029 0.0571
O9 0.6722 0.6231 0.6231
O10 0.7419 0.1085 0.7289
O11 0.7419 0.7289 0.1085
O12 0.8003 0.2457 0.2457
# * space-group type: No. 38
# * electronic total energy: -89.78 eV per cell
# * ΔH_f (0 K): -1.05 eV/atom
# * ρ: 4.55 g/cm3

***

5.
# TmFe4Si2 | the Materials Project | PBE | optimized geometry
data_TmFe4Si2
_cell_length_a 7.0401
_cell_length_b 7.0401
_cell_length_c 3.7616
_cell_angle_alpha 90.00
_cell_angle_beta 90.00
_cell_angle_gamma 90.00
_symmetry_space_group_name_H-M 'P 1'
_symmetry_Int_Tables_number 1
loop_
_symmetry_equiv_pos_as_xyz
'x,y,z'
loop_
_atom_site_label
_atom_site_fract_x
_atom_site_fract_y
_atom_site_fract_z
Tm1 0.0000 0.0000 0.0000
Tm2 0.5000 0.5000 0.5000
Fe1 0.0862 0.3528 0.5000
Fe2 0.1472 0.5862 0.0000
Fe3 0.3528 0.0862 0.5000
Fe4 0.4138 0.8528 0.0000
Fe5 0.5862 0.1472 0.0000
Fe6 0.6472 0.9138 0.5000
Fe7 0.8528 0.4138 0.0000
Fe8 0.9138 0.6472 0.5000
Si1 0.2193 0.7807 0.5000
Si2 0.2807 0.2807 0.0000
Si3 0.7193 0.7193 0.0000
Si4 0.7807 0.2193 0.5000
# * space-group type: No. 136
# * electronic total energy: -105.05 eV per cell
# * ΔH_f (0 K): -0.45 eV/atom
# * ρ: 7.99 g/cm3

***

6.
# ScAl6Fe6 | the Materials Project | PBE | optimized geometry
data_ScAl6Fe6
_cell_length_a 6.4965
_cell_length_b 6.4965
_cell_length_c 6.4965
_cell_angle_alpha 135.17
_cell_angle_beta 99.21
_cell_angle_gamma 97.52
_symmetry_space_group_name_H-M 'P 1'
_symmetry_Int_Tables_number 1
loop_
_symmetry_equiv_pos_as_xyz
'x,y,z'
loop_
_atom_site_label
_atom_site_fract_x
_atom_site_fract_y
_atom_site_fract_z
Sc1 0.0000 0.0000 0.0000
Al1 0.1823 0.6823 0.5000
Al2 0.3322 0.0000 0.3322
Al3 0.3429 0.3429 0.0000
Al4 0.6571 0.6571 0.0000
Al5 0.6678 0.0000 0.6678
Al6 0.8177 0.3177 0.5000
Fe1 0.0000 0.0000 0.5000
Fe2 0.0000 0.5000 0.0000
Fe3 0.2409 0.5000 0.7409
Fe4 0.5000 0.0000 0.0000
Fe5 0.5000 0.5000 0.5000
Fe6 0.7591 0.5000 0.2591
# * space-group type: No. 71
# * electronic total energy: -84.82 eV per cell
# * ΔH_f (0 K): -0.40 eV/atom
# * ρ: 5.04 g/cm3

***

7.
# Na3Pt12O16 | the Materials Project | PBE | optimized geometry
data_Na3Pt12O16
_cell_length_a 8.1246
_cell_length_b 8.1246
_cell_length_c 8.1246
_cell_angle_alpha 60.00
_cell_angle_beta 60.00
_cell_angle_gamma 60.00
_symmetry_space_group_name_H-M 'P 1'
_symmetry_Int_Tables_number 1
loop_
_symmetry_equiv_pos_as_xyz
'x,y,z'
loop_
_atom_site_label
_atom_site_fract_x
_atom_site_fract_y
_atom_site_fract_z
Na1 0.0000 0.0000 0.0000
Na2 0.2500 0.2500 0.2500
Na3 0.7500 0.7500 0.7500
Pt1 0.1278 0.3752 0.8722
Pt2 0.1278 0.6248 0.3752
Pt3 0.1278 0.8722 0.6248
Pt4 0.3752 0.1278 0.6248
Pt5 0.3752 0.6248 0.8722
Pt6 0.3752 0.8722 0.1278
Pt7 0.6248 0.1278 0.8722
Pt8 0.6248 0.3752 0.1278
Pt9 0.6248 0.8722 0.3752
Pt10 0.8722 0.1278 0.3752
Pt11 0.8722 0.3752 0.6248
Pt12 0.8722 0.6248 0.1278
O1 0.1118 0.6294 0.6294
O2 0.1245 0.1245 0.1245
O3 0.1245 0.1245 0.6265
O4 0.1245 0.6265 0.1245
O5 0.3706 0.3706 0.3706
O6 0.3706 0.3706 0.8882
O7 0.3706 0.8882 0.3706
O8 0.3735 0.8755 0.8755
O9 0.6265 0.1245 0.1245
O10 0.6294 0.1118 0.6294
O11 0.6294 0.6294 0.1118
O12 0.6294 0.6294 0.6294
O13 0.8755 0.3735 0.8755
O14 0.8755 0.8755 0.3735
O15 0.8755 0.8755 0.8755
O16 0.8882 0.3706 0.3706
# * space-group type: No. 202
# * electronic total energy: -177.00 eV per cell
# * relative energy among the computed polymorphs: 0.00 kJ/mol of atoms
# * ΔH_f (0 K): -1.03 eV/atom
# * ρ: 11.67 g/cm3

***

8.
# SbBr3 | the Materials Project | PBE | optimized geometry
data_SbBr3
_cell_length_a 8.7456
_cell_length_b 10.3417
_cell_length_c 7.1701
_cell_angle_alpha 90.00
_cell_angle_beta 90.00
_cell_angle_gamma 90.00
_symmetry_space_group_name_H-M 'P 1'
_symmetry_Int_Tables_number 1
loop_
_symmetry_equiv_pos_as_xyz
'x,y,z'
loop_
_atom_site_label
_atom_site_fract_x
_atom_site_fract_y
_atom_site_fract_z
Sb1 0.0011 0.2500 0.0219
Sb2 0.4989 0.7500 0.5219
Sb3 0.5011 0.2500 0.4781
Sb4 0.9989 0.7500 0.9781
Br1 0.0774 0.2500 0.6788
Br2 0.1793 0.0707 0.1387
Br3 0.1793 0.4293 0.1387
Br4 0.3207 0.5707 0.6387
Br5 0.3207 0.9293 0.6387
Br6 0.4226 0.7500 0.1788
Br7 0.5774 0.2500 0.8212
Br8 0.6793 0.0707 0.3613
Br9 0.6793 0.4293 0.3613
Br10 0.8207 0.5707 0.8613
Br11 0.8207 0.9293 0.8613
Br12 0.9226 0.7500 0.3212
# * space-group type: No. 62
# * electronic total energy: -45.89 eV per cell
# * ΔH_f (0 K): -1.01 eV/atom
# * ρ: 3.70 g/cm3

***

9.
# DyPO4 | the Materials Project | PBE | optimized geometry
data_DyPO4
_cell_length_a 5.7827
_cell_length_b 5.7827
_cell_length_c 5.7827
_cell_angle_alpha 105.94
_cell_angle_beta 105.94
_cell_angle_gamma 116.79
_symmetry_space_group_name_H-M 'P 1'
_symmetry_Int_Tables_number 1
loop_
_symmetry_equiv_pos_as_xyz
'x,y,z'
loop_
_atom_site_label
_atom_site_fract_x
_atom_site_fract_y
_atom_site_fract_z
Dy1 0.3750 0.6250 0.7500
Dy2 0.6250 0.3750 0.2500
P1 0.1250 0.8750 0.2500
P2 0.8750 0.1250 0.7500
O1 0.1392 0.7148 0.4244
O2 0.2095 0.2852 0.9244
O3 0.2852 0.2095 0.4244
O4 0.2852 0.8608 0.0756
O5 0.7148 0.1392 0.9244
O6 0.7148 0.7905 0.5756
O7 0.7905 0.7148 0.0756
O8 0.8608 0.2852 0.5756
# * space-group type: No. 141
# * electronic total energy: -96.19 eV per cell
# * ΔH_f (0 K): -3.51 eV/atom
# * ρ: 5.82 g/cm3

***

10.
# Na2Ca3GeS6O24 | the Materials Project | PBE | optimized geometry
data_Na2Ca3GeS6O24
_cell_length_a 9.0238
_cell_length_b 9.0238
_cell_length_c 23.5066
_cell_angle_alpha 90.00
_cell_angle_beta 90.00
_cell_angle_gamma 120.00
_symmetry_space_group_name_H-M 'P 1'
_symmetry_Int_Tables_number 1
loop_
_symmetry_equiv_pos_as_xyz
'x,y,z'
loop_
_atom_site_label
_atom_site_fract_x
_atom_site_fract_y
_atom_site_fract_z
Na1 0.0000 0.0000 0.0000
Na2 0.0000 0.0000 0.4849
Na3 0.3333 0.6667 0.1671
Na4 0.3333 0.6667 0.6623
Na5 0.6667 0.3333 0.3318
Na6 0.6667 0.3333 0.8290
Ca1 0.0000 0.0000 0.1497
Ca2 0.0000 0.0000 0.3417
Ca3 0.0000 0.0000 0.6450
Ca4 0.3333 0.6667 0.0181
Ca5 0.3333 0.6667 0.3122
Ca6 0.3333 0.6667 0.5131
Ca7 0.3333 0.6667 0.8127
Ca8 0.6667 0.3333 0.4738
Ca9 0.6667 0.3333 0.9766
Ge1 0.0000 0.0000 0.8472
Ge2 0.6667 0.3333 0.1812
Ge3 0.6667 0.3333 0.6775
S1 0.0311 0.6855 0.9082
S2 0.0328 0.3589 0.4136
S3 0.3074 0.0215 0.7486
S4 0.3145 0.3456 0.9082
S5 0.3259 0.3087 0.2413
S6 0.3261 0.9672 0.4136
S7 0.3866 0.0450 0.0863
S8 0.3879 0.3439 0.5876
S9 0.6411 0.6739 0.4136
S10 0.6544 0.9689 0.9082
S11 0.6561 0.0440 0.5876
S12 0.6584 0.6134 0.0863
S13 0.6913 0.0172 0.2413
S14 0.7142 0.6926 0.7486
S15 0.9550 0.3416 0.0863
S16 0.9560 0.6121 0.5876
S17 0.9785 0.2858 0.7486
S18 0.9828 0.6741 0.2413
O1 0.0028 0.7783 0.1910
O2 0.0144 0.1853 0.4135
O3 0.0261 0.8551 0.9022
O4 0.1156 0.6666 0.8580
O5 0.1209 0.4448 0.4671
O6 0.1260 0.4978 0.0867
O7 0.1259 0.6397 0.2450
O8 0.1267 0.4545 0.3629
O9 0.1271 0.6296 0.5906
O10 0.1271 0.7095 0.9613
O11 0.1284 0.4595 0.7546
O12 0.1449 0.1710 0.9022
O13 0.1709 0.9856 0.4135
O14 0.2058 0.0017 0.6982
O15 0.2169 0.0306 0.0893
O16 0.2222 0.1862 0.5919
O17 0.2217 0.2245 0.1910
O18 0.2241 0.0457 0.8026
O19 0.2526 0.2101 0.2940
O20 0.2905 0.4175 0.9613
O21 0.3238 0.8791 0.4671
O22 0.3279 0.8733 0.3629
O23 0.3311 0.8716 0.7546
O24 0.3334 0.4489 0.8580
O25 0.3603 0.4862 0.2450
O26 0.3704 0.4975 0.5906
O27 0.3718 0.8740 0.0867
O28 0.4579 0.3100 0.9114
O29 0.4721 0.1382 0.0339
O30 0.4789 0.3378 0.5375
O31 0.4813 0.1405 0.4116
O32 0.4822 0.1840 0.7454
O33 0.4931 0.1372 0.1390
O34 0.4947 0.3613 0.6442
O35 0.4997 0.3148 0.2357
O36 0.5022 0.6282 0.0867
O37 0.5025 0.8729 0.5906
O38 0.5138 0.8741 0.2450
O39 0.5405 0.6689 0.7546
O40 0.5455 0.6721 0.3629
O41 0.5511 0.8844 0.8580
O42 0.5552 0.6762 0.4671
O43 0.5825 0.8729 0.9613
O44 0.6387 0.1334 0.6442
O45 0.6440 0.5069 0.1390
O46 0.6593 0.5187 0.4116
O47 0.6622 0.1411 0.5375
O48 0.6661 0.5279 0.0339
O49 0.6852 0.1849 0.2357
O50 0.6900 0.1479 0.9114
O51 0.7019 0.5178 0.7454
O52 0.7755 0.9972 0.1910
O53 0.7899 0.0424 0.2940
O54 0.7959 0.7942 0.6982
O55 0.8138 0.0359 0.5919
O56 0.8137 0.7831 0.0893
O57 0.8151 0.5003 0.2357
O58 0.8147 0.8291 0.4135
O59 0.8160 0.2981 0.7454
O60 0.8216 0.7759 0.8026
O61 0.8290 0.9739 0.9022
O62 0.8521 0.5421 0.9114
O63 0.8595 0.3407 0.4116
O64 0.8589 0.5211 0.5375
O65 0.8618 0.3339 0.0339
O66 0.8628 0.3560 0.1390
O67 0.8666 0.5053 0.6442
O68 0.9543 0.1784 0.8026
O69 0.9576 0.7474 0.2940
O70 0.9641 0.7778 0.5919
O71 0.9694 0.1863 0.0893
O72 0.9983 0.2041 0.6982
# * space-group type: No. 143
# * electronic total energy: -667.21 eV per cell
# * ΔH_f (0 K): -2.28 eV/atom
# * ρ: 2.45 g/cm3

***

11.
# Cd2BO4 | the Materials Project | PBE | optimized geometry
data_Cd2BO4
_cell_length_a 10.0019
_cell_length_b 10.0019
_cell_length_c 10.0019
_cell_angle_alpha 60.00
_cell_angle_beta 60.00
_cell_angle_gamma 60.00
_symmetry_space_group_name_H-M 'P 1'
_symmetry_Int_Tables_number 1
loop_
_symmetry_equiv_pos_as_xyz
'x,y,z'
loop_
_atom_site_label
_atom_site_fract_x
_atom_site_fract_y
_atom_site_fract_z
Cd1 0.0000 0.0000 0.0000
Cd2 0.0000 0.0000 0.5000
Cd3 0.0000 0.5000 0.0000
Cd4 0.1704 0.1704 0.5796
Cd5 0.1704 0.5796 0.1704
Cd6 0.1704 0.5796 0.5796
Cd7 0.4204 0.4204 0.8296
Cd8 0.4204 0.8296 0.4204
Cd9 0.4204 0.8296 0.8296
Cd10 0.5000 0.0000 0.0000
Cd11 0.5796 0.1704 0.1704
Cd12 0.5796 0.1704 0.5796
Cd13 0.5796 0.5796 0.1704
Cd14 0.8296 0.4204 0.4204
Cd15 0.8296 0.4204 0.8296
Cd16 0.8296 0.8296 0.4204
B1 0.1823 0.7726 0.7726
B2 0.2274 0.2274 0.2274
B3 0.2274 0.2274 0.8177
B4 0.2274 0.8177 0.2274
B5 0.7726 0.1823 0.7726
B6 0.7726 0.7726 0.1823
B7 0.7726 0.7726 0.7726
B8 0.8177 0.2274 0.2274
O1 0.0925 0.2224 0.8152
O2 0.0925 0.3699 0.2224
O3 0.0925 0.8152 0.3699
O4 0.0930 0.4690 0.4690
O5 0.1848 0.6301 0.9075
O6 0.1848 0.7776 0.6301
O7 0.1848 0.9075 0.7776
O8 0.2224 0.0925 0.3699
O9 0.2224 0.3699 0.8152
O10 0.2224 0.8152 0.0925
O11 0.3699 0.0925 0.8152
O12 0.3699 0.2224 0.0925
O13 0.3699 0.8152 0.2224
O14 0.4690 0.0930 0.4690
O15 0.4690 0.4690 0.0930
O16 0.4690 0.4690 0.4690
O17 0.5310 0.5310 0.5310
O18 0.5310 0.5310 0.9070
O19 0.5310 0.9070 0.5310
O20 0.6301 0.1848 0.7776
O21 0.6301 0.7776 0.9075
O22 0.6301 0.9075 0.1848
O23 0.7776 0.1848 0.9075
O24 0.7776 0.6301 0.1848
O25 0.7776 0.9075 0.6301
O26 0.8152 0.0925 0.2224
O27 0.8152 0.2224 0.3699
O28 0.8152 0.3699 0.0925
O29 0.9070 0.5310 0.5310
O30 0.9075 0.1848 0.6301
O31 0.9075 0.6301 0.7776
O32 0.9075 0.7776 0.1848
# * space-group type: No. 203
# * electronic total energy: -308.67 eV per cell
# * ΔH_f (0 K): -1.73 eV/atom
# * ρ: 5.63 g/cm3

***

12.
# K3Ho | the Materials Project | PBE | optimized geometry
data_K3Ho
_cell_length_a 6.8685
_cell_length_b 6.8685
_cell_length_c 6.8685
_cell_angle_alpha 60.00
_cell_angle_beta 60.00
_cell_angle_gamma 60.00
_symmetry_space_group_name_H-M 'P 1'
_symmetry_Int_Tables_number 1
loop_
_symmetry_equiv_pos_as_xyz
'x,y,z'
loop_
_atom_site_label
_atom_site_fract_x
_atom_site_fract_y
_atom_site_fract_z
K1 0.0000 0.0000 0.0000
K2 0.2500 0.2500 0.2500
K3 0.7500 0.7500 0.7500
Ho1 0.5000 0.5000 0.5000
# * space-group type: No. 225
# * electronic total energy: -5.55 eV per cell
# * relative energy among the computed polymorphs: 0.73 kJ/mol of atoms
# * ΔH_f (0 K): 0.59 eV/atom
# * ρ: 2.05 g/cm3